1.
# LiV4P7O24 | the Materials Project database | PBE+U | relaxed
# Density: 2936 kg/m3
# Calculated formation energy: -2.67 eV/atom
# Uncorrected energy: -7.441 eV per atom
# Offset from the most stable computed form: 0.0 meV per atom
data_LiV4P7O24
_chemical_formula_sum 'Li2 V8 P14 O48'
_cell_length_a 10.289
_cell_length_b 10.371
_cell_length_c 10.790
_cell_angle_alpha 108.20
_cell_angle_beta 111.98
_cell_angle_gamma 104.95
_symmetry_space_group_name_H-M 'P -1'
_symmetry_Int_Tables_number 2
loop_
_symmetry_equiv_pos_as_xyz
'x,y,z'
'-x,-y,-z'
loop_
_atom_site_label
_atom_site_fract_x
_atom_site_fract_y
_atom_site_fract_z
Li1 0.050 0.152 0.074
V1 0.000 0.098 0.753
V2 0.011 0.661 0.388
V3 0.483 0.827 0.913
V4 0.498 0.614 0.424
P1 0.233 0.178 0.619
P2 0.237 0.963 0.744
P3 0.243 0.607 0.977
P4 0.253 0.542 0.553
P5 0.265 0.778 0.268
P6 0.301 0.062 0.234
P7 0.304 0.373 0.068
O1 0.102 0.508 0.826
O2 0.120 0.998 0.150
O3 0.121 0.217 0.675
O4 0.123 0.989 0.799
O5 0.129 0.262 0.969
O6 0.129 0.780 0.296
O7 0.141 0.412 0.553
O8 0.143 0.062 0.454
O9 0.159 0.824 0.598
O10 0.160 0.573 0.425
O11 0.182 0.660 0.093
O12 0.310 0.103 0.719
O13 0.333 0.514 0.030
O14 0.338 0.435 0.230
O15 0.342 0.680 0.707
O16 0.347 0.939 0.284
O17 0.354 0.748 0.996
O18 0.355 0.069 0.124
O19 0.368 0.314 0.659
O20 0.374 0.206 0.375
O21 0.376 0.501 0.514
O22 0.380 0.976 0.873
O23 0.381 0.743 0.364
O24 0.408 0.305 0.035



2.
# Li3VP3O11 | the Materials Project database | PBE+U | relaxed
# Density: 2699 kg/m3
# Calculated formation energy: -2.62 eV/atom
# Uncorrected energy: -6.855 eV per atom
# Offset from the most stable computed form: 0.0 meV per atom
data_Li3VP3O11
_chemical_formula_sum 'Li6 V2 P6 O22'
_cell_length_a 6.041
_cell_length_b 8.275
_cell_length_c 9.576
_cell_angle_alpha 114.18
_cell_angle_beta 101.51
_cell_angle_gamma 95.64
_symmetry_space_group_name_H-M 'P -1'
_symmetry_Int_Tables_number 2
loop_
_symmetry_equiv_pos_as_xyz
'x,y,z'
'-x,-y,-z'
loop_
_atom_site_label
_atom_site_fract_x
_atom_site_fract_y
_atom_site_fract_z
Li1 0.105 0.356 0.462
Li2 0.115 0.925 0.385
Li3 0.268 0.478 0.023
V1 0.395 0.199 0.224
P1 0.143 0.812 0.903
P2 0.356 0.616 0.393
P3 0.424 0.161 0.730
O1 0.062 0.191 0.232
O2 0.075 0.699 0.984
O3 0.132 0.598 0.436
O4 0.199 0.113 0.602
O5 0.252 0.016 0.012
O6 0.324 0.733 0.807
O7 0.362 0.778 0.338
O8 0.377 0.454 0.245
O9 0.429 0.324 0.465
O10 0.434 0.313 0.887
O11 0.499 0.011 0.272



3.
# Li5V3P8O29 | the Materials Project database | PBE+U | relaxed
# Density: 2565 kg/m3
# Calculated formation energy: -2.62 eV/atom
# Uncorrected energy: -7.031 eV per atom
# Offset from the most stable computed form: 2.5 meV per atom
data_Li5V3P8O29
_chemical_formula_sum 'Li10 V6 P16 O58'
_cell_length_a 9.774
_cell_length_b 9.799
_cell_length_c 14.019
_cell_angle_alpha 89.81
_cell_angle_beta 89.88
_cell_angle_gamma 60.15
_symmetry_space_group_name_H-M 'P 1'
_symmetry_Int_Tables_number 1
loop_
_symmetry_equiv_pos_as_xyz
'x,y,z'
loop_
_atom_site_label
_atom_site_fract_x
_atom_site_fract_y
_atom_site_fract_z
Li1 0.000 0.000 0.000
Li2 0.004 0.413 0.497
Li3 0.086 0.231 0.881
Li4 0.104 0.082 0.380
Li5 0.449 0.411 0.003
Li6 0.547 0.638 0.883
Li7 0.670 0.651 0.378
Li8 0.679 0.090 0.883
Li9 0.705 0.332 0.432
Li10 0.865 0.984 0.499
V1 0.207 0.317 0.688
V2 0.212 0.881 0.192
V3 0.340 0.745 0.685
V4 0.341 0.313 0.194
V5 0.771 0.883 0.693
V6 0.776 0.749 0.188
P1 0.006 0.995 0.783
P2 0.088 0.087 0.599
P3 0.091 0.228 0.098
P4 0.102 0.654 0.568
P5 0.108 0.653 0.071
P6 0.434 0.982 0.810
P7 0.442 0.980 0.311
P8 0.453 0.404 0.782
P9 0.462 0.539 0.279
P10 0.545 0.632 0.096
P11 0.549 0.230 0.598
P12 0.685 0.086 0.100
P13 0.687 0.630 0.596
P14 0.859 0.544 0.780
P15 0.861 0.002 0.283
P16 0.998 0.402 0.282
O1 0.000 0.311 0.371
O2 0.004 0.081 0.510
O3 0.017 0.304 0.007
O4 0.022 0.071 0.872
O5 0.028 0.400 0.780
O6 0.033 0.976 0.277
O7 0.095 0.507 0.606
O8 0.100 0.672 0.965
O9 0.106 0.803 0.117
O10 0.109 0.657 0.462
O11 0.110 0.232 0.598
O12 0.114 0.057 0.103
O13 0.150 0.408 0.269
O14 0.155 0.837 0.762
O15 0.247 0.933 0.614
O16 0.249 0.222 0.118
O17 0.255 0.648 0.616
O18 0.259 0.503 0.107
O19 0.284 0.130 0.768
O20 0.284 0.989 0.267
O21 0.292 0.419 0.762
O22 0.307 0.698 0.270
O23 0.390 0.235 0.608
O24 0.392 0.792 0.119
O25 0.426 0.403 0.278
O26 0.426 0.974 0.416
O27 0.431 0.975 0.916
O28 0.437 0.571 0.779
O29 0.439 0.831 0.765
O30 0.448 0.121 0.268
O31 0.517 0.654 0.606
O32 0.520 0.236 0.100
O33 0.520 0.566 0.006
O34 0.527 0.320 0.874
O35 0.560 0.516 0.182
O36 0.564 0.529 0.362
O37 0.569 0.309 0.696
O38 0.569 0.311 0.515
O39 0.584 0.988 0.773
O40 0.588 0.825 0.272
O41 0.670 0.939 0.116
O42 0.682 0.787 0.609
O43 0.687 0.655 0.100
O44 0.688 0.057 0.605
O45 0.764 0.554 0.865
O46 0.765 0.545 0.505
O47 0.774 0.109 0.190
O48 0.775 0.074 0.010
O49 0.783 0.517 0.684
O50 0.788 0.092 0.373
O51 0.852 0.567 0.282
O52 0.856 0.981 0.784
O53 0.861 0.847 0.273
O54 0.868 0.697 0.762
O55 0.959 0.807 0.608
O56 0.960 0.654 0.118
O57 0.979 0.315 0.189
O58 0.982 0.108 0.692



4.
# Li9V3P8O29 | the Materials Project database | PBE+U | relaxed
# Density: 2635 kg/m3
# Calculated formation energy: -2.71 eV/atom
# Uncorrected energy: -6.919 eV per atom
# Offset from the most stable computed form: 19.4 meV per atom
data_Li9V3P8O29
_chemical_formula_sum 'Li18 V6 P16 O58'
_cell_length_a 9.908
_cell_length_b 9.918
_cell_length_c 13.709
_cell_angle_alpha 89.98
_cell_angle_beta 89.82
_cell_angle_gamma 60.17
_symmetry_space_group_name_H-M 'P 1'
_symmetry_Int_Tables_number 1
loop_
_symmetry_equiv_pos_as_xyz
'x,y,z'
loop_
_atom_site_label
_atom_site_fract_x
_atom_site_fract_y
_atom_site_fract_z
Li1 0.000 0.000 0.000
Li2 0.000 0.566 0.445
Li3 0.325 0.902 0.815
Li4 0.332 0.334 0.261
Li5 0.335 0.765 0.317
Li6 0.434 0.001 0.446
Li7 0.437 0.573 0.944
Li8 0.568 0.425 0.453
Li9 0.573 0.991 0.944
Li10 0.666 0.666 0.879
Li11 0.669 0.666 0.386
Li12 0.681 0.230 0.624
Li13 0.764 0.900 0.318
Li14 0.768 0.325 0.808
Li15 0.899 0.336 0.318
Li16 0.899 0.774 0.814
Li17 0.983 0.012 0.503
Li18 0.991 0.437 0.945
V1 0.095 0.673 0.627
V2 0.100 0.232 0.130
V3 0.230 0.100 0.627
V4 0.231 0.668 0.130
V5 0.351 0.335 0.748
V6 0.668 0.101 0.131
P1 0.000 0.000 0.257
P2 0.002 0.001 0.757
P3 0.328 0.338 0.504
P4 0.333 0.334 0.001
P5 0.350 0.755 0.534
P6 0.350 0.894 0.035
P7 0.439 0.984 0.224
P8 0.442 0.576 0.726
P9 0.573 0.981 0.725
P10 0.577 0.441 0.225
P11 0.756 0.351 0.034
P12 0.756 0.897 0.532
P13 0.893 0.757 0.035
P14 0.894 0.350 0.533
P15 0.982 0.577 0.224
P16 0.984 0.443 0.725
O1 0.002 0.999 0.367
O2 0.016 0.984 0.868
O3 0.036 0.776 0.046
O4 0.039 0.186 0.544
O5 0.146 0.557 0.211
O6 0.153 0.856 0.217
O7 0.157 0.304 0.718
O8 0.157 0.989 0.716
O9 0.171 0.479 0.545
O10 0.181 0.341 0.036
O11 0.186 0.775 0.543
O12 0.187 0.037 0.045
O13 0.293 0.555 0.715
O14 0.296 0.147 0.211
O15 0.321 0.334 0.394
O16 0.332 0.334 0.887
O17 0.337 0.183 0.545
O18 0.339 0.745 0.036
O19 0.340 0.479 0.035
O20 0.341 0.913 0.534
O21 0.413 0.993 0.725
O22 0.416 0.589 0.224
O23 0.429 0.676 0.814
O24 0.434 0.896 0.313
O25 0.441 0.895 0.945
O26 0.443 0.660 0.446
O27 0.450 0.663 0.630
O28 0.453 0.881 0.129
O29 0.464 0.350 0.546
O30 0.478 0.181 0.035
O31 0.547 0.149 0.721
O32 0.555 0.297 0.212
O33 0.578 0.413 0.733
O34 0.588 0.995 0.224
O35 0.662 0.889 0.629
O36 0.662 0.891 0.446
O37 0.665 0.443 0.945
O38 0.666 0.453 0.129
O39 0.668 0.891 0.813
O40 0.670 0.437 0.313
O41 0.745 0.917 0.036
O42 0.746 0.343 0.534
O43 0.775 0.188 0.045
O44 0.779 0.036 0.539
O45 0.855 0.992 0.218
O46 0.862 0.150 0.722
O47 0.880 0.666 0.129
O48 0.891 0.448 0.630
O49 0.893 0.671 0.313
O50 0.894 0.665 0.945
O51 0.896 0.434 0.814
O52 0.903 0.440 0.445
O53 0.911 0.742 0.536
O54 0.917 0.339 0.035
O55 0.991 0.153 0.218
O56 0.993 0.417 0.224
O57 0.994 0.592 0.727
O58 0.995 0.855 0.716



5.
# LiV2P2O9 | the Materials Project database | PBE+U | relaxed
# Density: 3047 kg/m3
# Calculated formation energy: -2.67 eV/atom
# Uncorrected energy: -7.374 eV per atom
data_LiV2P2O9
_chemical_formula_sum 'Li4 V8 P8 O36'
_cell_length_a 13.938
_cell_length_b 6.382
_cell_length_c 7.713
_cell_angle_alpha 90.00
_cell_angle_beta 90.00
_cell_angle_gamma 90.00
_symmetry_space_group_name_H-M 'P n m a'
_symmetry_Int_Tables_number 62
loop_
_symmetry_equiv_pos_as_xyz
'x,y,z'
'-x,-y,-z'
'-x+1/2,-y,z+1/2'
'x+1/2,y,-z+1/2'
'x+1/2,-y+1/2,-z+1/2'
'-x+1/2,y+1/2,z+1/2'
'-x,y+1/2,-z'
'x,-y+1/2,z'
loop_
_atom_site_label
_atom_site_fract_x
_atom_site_fract_y
_atom_site_fract_z
Li1 0.234 0.250 0.047
V1 0.000 0.000 0.000
V2 0.119 0.250 0.650
P1 0.064 0.750 0.648
P2 0.192 0.750 0.116
O1 0.016 0.250 0.485
O2 0.018 0.750 0.834
O3 0.053 0.250 0.853
O4 0.131 0.547 0.097
O5 0.131 0.560 0.634
O6 0.225 0.250 0.479
O7 0.249 0.250 0.788